(1)
Ho8Sb3O8 (r²SCAN, relaxed); E_tot = -23.56 eV per atom; energy of formation = -59.719 eV per formula unit; magnetization = 0.0 μB per formula unit
1.0
-3.298 -3.536 4.846
-0.210 -2.231 6.468
-8.169 9.857 7.620
Ho Sb O
8 3 8
Direct
0.451 0.458 0.830
0.542 0.549 0.170
0.645 0.643 0.570
0.357 0.355 0.430
0.878 0.879 0.652
0.121 0.122 0.348
0.714 0.727 0.911
0.273 0.286 0.089
0.173 0.171 0.733
0.829 0.827 0.267
0.986 0.014 0.000
0.291 0.304 0.934
0.696 0.709 0.066
0.878 0.887 0.797
0.113 0.122 0.203
0.166 0.163 0.486
0.837 0.834 0.514
0.471 0.472 0.631
0.528 0.529 0.369

---

(2)
Ga2Pd5 (r²SCAN, relaxed); E_tot = -20.24 eV per atom; energy of formation = -3.971 eV per formula unit; magnetization = 0.0 μB per formula unit
1.0
-1.364 2.268 -3.103
-5.141 -1.363 1.263
-1.131 14.654 11.207
Ga Pd
8 20
Direct
0.750 0.202 0.956
0.250 0.798 0.044
0.750 0.702 0.544
0.250 0.298 0.456
0.750 0.667 0.824
0.250 0.333 0.176
0.750 0.167 0.676
0.250 0.833 0.324
0.750 0.141 0.233
0.250 0.859 0.767
0.750 0.641 0.267
0.250 0.359 0.733
0.750 0.668 0.969
0.250 0.332 0.031
0.750 0.168 0.531
0.250 0.832 0.469
0.750 0.034 0.087
0.250 0.966 0.913
0.750 0.534 0.413
0.250 0.466 0.587
0.750 0.164 0.820
0.250 0.836 0.180
0.750 0.664 0.680
0.250 0.336 0.320
0.750 0.035 0.381
0.250 0.965 0.619
0.750 0.535 0.119
0.250 0.465 0.881